## Mg14FeBiO16 (GGA+U)

Data for an optimized crystal structure of Mg14FeBiO16.

Cell: 4.3824 8.7294 8.7519 Å, 90.00 90.00 90.00°
Element x y z (fractional)
Mg  0.0000  0.0000  0.0000
Mg  0.0000  0.0000  0.5000
Mg  0.0000  0.2437  0.2376
Mg  0.0000  0.2437  0.7624
Mg  0.0000  0.7563  0.2376
Mg  0.0000  0.7563  0.7624
Mg  0.5000  0.0000  0.2455
Mg  0.5000  0.0000  0.7545
Mg  0.5000  0.2348  0.5000
Mg  0.5000  0.2502  0.0000
Mg  0.5000  0.5000  0.2317
Mg  0.5000  0.5000  0.7683
Mg  0.5000  0.7498  0.0000
Mg  0.5000  0.7652  0.5000
Fe  0.0000  0.5000  0.0000
Bi  0.0000  0.5000  0.5000
O  0.0000  0.0000  0.2507
O  0.0000  0.0000  0.7493
O  0.0000  0.2310  0.0000
O  0.0000  0.2318  0.5000
O  0.0000  0.5000  0.2400
O  0.0000  0.5000  0.7600
O  0.0000  0.7682  0.5000
O  0.0000  0.7690  0.0000
O  0.5000  0.0000  0.0000
O  0.5000  0.0000  0.5000
O  0.5000  0.2517  0.2515
O  0.5000  0.2517  0.7485
O  0.5000  0.5000  0.0000
O  0.5000  0.5000  0.5000
O  0.5000  0.7483  0.2515
O  0.5000  0.7483  0.7485

Calculated values
Corrected total energy (MP2020 scheme) (eV per formula unit): -199.5

---

## Li7Mn5O12 (GGA+U)

Data for an optimized crystal structure of Li7Mn5O12.

Cell: 5.9923 8.2238 10.1429 Å, 113.19 103.32 90.59°
Element x y z (fractional)
Li  0.0000  0.0000  0.0000
Li  0.0000  0.0000  0.5000
Li  0.0000  0.5000  0.0000
Li  0.1527  0.1591  0.3232
Li  0.1725  0.1777  0.8483
Li  0.3274  0.3220  0.1517
Li  0.3466  0.3406  0.6768
Li  0.5000  0.0000  0.0000
Li  0.5000  0.5000  0.0000
Li  0.5000  0.5000  0.5000
Li  0.6534  0.6594  0.3232
Li  0.6726  0.6780  0.8483
Li  0.8275  0.8223  0.1517
Li  0.8473  0.8409  0.6768
Mn  0.0000  0.5000  0.5000
Mn  0.1653  0.6639  0.3301
Mn  0.1709  0.6729  0.8396
Mn  0.3296  0.8277  0.1608
Mn  0.3352  0.8372  0.6697
Mn  0.5000  0.0000  0.5000
Mn  0.6648  0.1628  0.3303
Mn  0.6704  0.1723  0.8392
Mn  0.8291  0.3271  0.1604
Mn  0.8347  0.3361  0.6699
O  0.0070  0.7535  0.9884
O  0.0318  0.7456  0.5072
O  0.1277  0.4181  0.8090
O  0.1688  0.8946  0.3225
O  0.1706  0.4383  0.3505
O  0.1723  0.9044  0.8191
O  0.3279  0.5959  0.1810
O  0.3295  0.0630  0.6504
O  0.3303  0.6056  0.6770
O  0.3717  0.0821  0.1908
O  0.4703  0.7557  0.4936
O  0.4925  0.7463  0.0113
O  0.5075  0.2537  0.9887
O  0.5297  0.2443  0.5064
O  0.6283  0.9179  0.8092
O  0.6697  0.3944  0.3230
O  0.6705  0.9370  0.3496
O  0.6721  0.4041  0.8190
O  0.8277  0.0956  0.1809
O  0.8294  0.5617  0.6495
O  0.8312  0.1054  0.6775
O  0.8723  0.5819  0.1910
O  0.9682  0.2544  0.4928
O  0.9930  0.2465  0.0116

Calculated values
Corrected total energy (MP2020 scheme) (eV per formula unit): -169.8

---

## Li3Fe8B8O24 (GGA+U)

Data for an optimized crystal structure of Li3Fe8B8O24.

Cell: 5.2574 9.1236 10.1388 Å, 89.50 89.34 89.03°
Element x y z (fractional)
Li  0.0000  0.0000  0.0000
Li  0.1398  0.1641  0.2688
Li  0.4775  0.5038  0.5143
Fe  0.0002  0.3346  0.9854
Fe  0.1458  0.5014  0.2360
Fe  0.1479  0.8297  0.7261
Fe  0.4810  0.1654  0.4922
Fe  0.4911  0.8260  0.9801
Fe  0.6482  0.9835  0.2415
Fe  0.6506  0.3226  0.7405
Fe  0.9723  0.6800  0.4873
B  0.1420  0.4958  0.7310
B  0.1568  0.8324  0.2290
B  0.4766  0.8265  0.4846
B  0.4912  0.1541  0.9870
B  0.6473  0.9974  0.7410
B  0.6477  0.3245  0.2358
B  0.9862  0.3360  0.4786
B  0.9877  0.6676  0.9904
O  0.0103  0.9598  0.2179
O  0.0368  0.6321  0.6990
O  0.0592  0.7053  0.2796
O  0.0991  0.4689  0.4389
O  0.1089  0.5439  0.0408
O  0.1166  0.2075  0.4610
O  0.1322  0.7889  0.9462
O  0.2298  0.8411  0.5359
O  0.2332  0.1587  0.0015
O  0.3954  0.4676  0.7075
O  0.4087  0.8359  0.1835
O  0.4858  0.8858  0.7861
O  0.4928  0.4444  0.2377
O  0.5381  0.1268  0.6954
O  0.5464  0.1869  0.2676
O  0.5854  0.9526  0.4296
O  0.6020  0.6957  0.4859
O  0.6301  0.0248  0.0260
O  0.6324  0.2686  0.9357
O  0.7312  0.6777  0.9842
O  0.7366  0.3406  0.5310
O  0.9029  0.9788  0.7488
O  0.9095  0.3319  0.2066
O  0.9870  0.3875  0.7829

Calculated values
Corrected total energy (MP2020 scheme) (eV per formula unit): -342.3

---

## V7P6O24 (GGA+U)

Data for an optimized crystal structure of V7P6O24.

Cell: 6.4512 8.2099 9.4134 Å, 105.21 108.37 101.88°
Element x y z (fractional)
V  0.0000  0.0000  0.0000
V  0.0426  0.7144  0.5201
V  0.2800  0.8072  0.2829
V  0.3910  0.4577  0.1098
V  0.6090  0.5423  0.8902
V  0.7200  0.1928  0.7171
V  0.9574  0.2856  0.4799
P  0.0894  0.5926  0.8330
P  0.2241  0.1392  0.7684
P  0.3985  0.2343  0.3718
P  0.6015  0.7657  0.6282
P  0.7759  0.8608  0.2316
P  0.9106  0.4074  0.1670
O  0.0150  0.1837  0.6643
O  0.0615  0.5476  0.6539
O  0.1151  0.7818  0.9216
O  0.1270  0.5360  0.1661
O  0.2031  0.9440  0.7005
O  0.2247  0.1871  0.9406
O  0.2485  0.2769  0.4660
O  0.2765  0.0414  0.2429
O  0.3022  0.5395  0.9145
O  0.3678  0.7634  0.5024
O  0.4512  0.2555  0.7721
O  0.4528  0.3657  0.2925
O  0.5472  0.6343  0.7075
O  0.5488  0.7445  0.2279
O  0.6322  0.2366  0.4976
O  0.6978  0.4605  0.0855
O  0.7235  0.9586  0.7571
O  0.7515  0.7231  0.5340
O  0.7753  0.8129  0.0594
O  0.7969  0.0560  0.2995
O  0.8730  0.4640  0.8339
O  0.8849  0.2182  0.0784
O  0.9385  0.4524  0.3461
O  0.9850  0.8163  0.3357

Calculated values
Corrected total energy (MP2020 scheme) (eV per formula unit): -312.3

---

## Li7Fe8B8O24 (GGA+U)

Data for an optimized crystal structure of Li7Fe8B8O24.

Cell: 5.2307 9.0774 11.4460 Å, 67.64 77.08 89.95°
Element x y z (fractional)
Li  0.0000  0.0000  0.0000
Li  0.0246  0.0338  0.2606
Li  0.3051  0.2737  0.7587
Li  0.4967  0.4975  0.0064
Li  0.5224  0.5310  0.2627
Li  0.7586  0.7398  0.5098
Li  0.8078  0.7771  0.7581
Fe  0.0206  0.3397  0.9790
Fe  0.0468  0.7174  0.2235
Fe  0.2710  0.9366  0.4798
Fe  0.2981  0.6257  0.7297
Fe  0.5266  0.8441  0.9746
Fe  0.5421  0.2148  0.2267
Fe  0.7786  0.4178  0.4761
Fe  0.8276  0.1270  0.7187
B  0.0228  0.6774  0.9710
B  0.0605  0.3829  0.2225
B  0.2825  0.5982  0.4717
B  0.3145  0.9636  0.7285
B  0.5223  0.1792  0.9712
B  0.5551  0.8843  0.2201
B  0.7639  0.0920  0.4686
B  0.8165  0.4698  0.7166
O  0.0276  0.6042  0.4458
O  0.0502  0.4356  0.7570
O  0.1185  0.7861  0.0138
O  0.1869  0.5689  0.9405
O  0.1914  0.0952  0.7335
O  0.1955  0.8545  0.6931
O  0.2651  0.1792  0.9577
O  0.3294  0.4056  0.2048
O  0.3751  0.7067  0.5126
O  0.3931  0.9895  0.2541
O  0.4382  0.4824  0.4523
O  0.4517  0.7631  0.1914
O  0.5311  0.1189  0.4307
O  0.5586  0.9371  0.7600
O  0.6220  0.2913  0.0090
O  0.6806  0.0684  0.9417
O  0.6976  0.3602  0.6780
O  0.7035  0.6086  0.7091
O  0.7659  0.6749  0.9577
O  0.8252  0.8995  0.2107
O  0.8649  0.2013  0.5110
O  0.8944  0.4804  0.2713
O  0.8967  0.9623  0.4624
O  0.9532  0.2680  0.1900

Calculated values
Corrected total energy (MP2020 scheme) (eV per formula unit): -362.1

---

## Cd6Co5O15 (GGA+U)

Data for an optimized crystal structure of Cd6Co5O15.

Cell: 6.7592 6.7592 6.7592 Å, 87.35 87.35 87.35°
Element x y z (fractional)
Cd  0.0000  0.3164  0.6836
Cd  0.1660  0.8340  0.5000
Cd  0.3164  0.6836  0.0000
Cd  0.5000  0.1660  0.8340
Cd  0.6836  0.0000  0.3164
Cd  0.8340  0.5000  0.1660
Co  0.1031  0.1031  0.1031
Co  0.2997  0.2997  0.2997
Co  0.5000  0.5000  0.5000
Co  0.7003  0.7003  0.7003
Co  0.8969  0.8969  0.8969
O  0.0000  0.8449  0.1551
O  0.0221  0.2555  0.3266
O  0.1551  0.0000  0.8449
O  0.2555  0.3266  0.0221
O  0.3024  0.5799  0.3190
O  0.3190  0.3024  0.5799
O  0.3266  0.0221  0.2555
O  0.4201  0.6976  0.6810
O  0.5799  0.3190  0.3024
O  0.6734  0.7445  0.9779
O  0.6810  0.4201  0.6976
O  0.6976  0.6810  0.4201
O  0.7445  0.9779  0.6734
O  0.8449  0.1551  0.0000
O  0.9779  0.6734  0.7445

Calculated values
Corrected total energy (MP2020 scheme) (eV per formula unit): -145.6

---

## MnCSO7 (GGA+U)

Data for an optimized crystal structure of MnCSO7.

Cell: 5.1414 6.2209 8.7114 Å, 90.00 93.49 90.00°
Element x y z (fractional)
Mn  0.2178  0.2500  0.3301
Mn  0.7822  0.7500  0.6699
C  0.2683  0.2500  0.0579
C  0.7317  0.7500  0.9421
S  0.2824  0.7500  0.4247
S  0.7176  0.2500  0.5753
O  0.0435  0.2500  0.1238
O  0.1383  0.7500  0.5648
O  0.2132  0.5631  0.3234
O  0.2132  0.9369  0.3234
O  0.2988  0.2500  0.9192
O  0.4322  0.2500  0.5328
O  0.4646  0.2500  0.1627
O  0.5354  0.7500  0.8373
O  0.5678  0.7500  0.4672
O  0.7012  0.7500  0.0808
O  0.7868  0.0631  0.6766
O  0.7868  0.4369  0.6766
O  0.8617  0.2500  0.4352
O  0.9565  0.7500  0.8762

Calculated values
Corrected total energy (MP2020 scheme) (eV per formula unit): -74.1

---

## Li2FeCo3O8 (GGA+U)

Data for an optimized crystal structure of Li2FeCo3O8.

Cell: 5.8259 5.8259 9.9098 Å, 106.40 106.40 59.17°
Element x y z (fractional)
Li  0.0654  0.0654  0.1850
Li  0.4339  0.4339  0.3144
Li  0.5661  0.5661  0.6856
Li  0.9346  0.9346  0.8150
Fe  0.0000  0.0000  0.5000
Fe  0.5000  0.5000  0.0000
Co  0.0000  0.5000  0.0000
Co  0.0000  0.5000  0.5000
Co  0.2501  0.2501  0.7499
Co  0.5000  0.0000  0.0000
Co  0.5000  0.0000  0.5000
Co  0.7499  0.7499  0.2501
O  0.0890  0.6306  0.3797
O  0.1329  0.5890  0.8812
O  0.1429  0.1429  0.3948
O  0.1458  0.1458  0.8819
O  0.3542  0.3542  0.6173
O  0.3560  0.3560  0.1049
O  0.3694  0.9110  0.6203
O  0.4110  0.8671  0.1188
O  0.5890  0.1329  0.8812
O  0.6306  0.0890  0.3797
O  0.6440  0.6440  0.8951
O  0.6458  0.6458  0.3827
O  0.8542  0.8542  0.1181
O  0.8571  0.8571  0.6052
O  0.8671  0.4110  0.1188
O  0.9110  0.3694  0.6203

Calculated values
Corrected total energy (MP2020 scheme) (eV per formula unit): -95.1

---

## MgMn2Fe4O8 (GGA+U)

Data for an optimized crystal structure of MgMn2Fe4O8.

Cell: 6.0199 6.0460 6.1031 Å, 111.44 93.44 119.41°
Element x y z (fractional)
Mg  0.0000  0.0000  0.0000
Mn  0.1526  0.2663  0.4744
Mn  0.8474  0.7337  0.5256
Fe  0.0000  0.5000  0.0000
Fe  0.5000  0.0000  0.0000
Fe  0.5000  0.0000  0.5000
Fe  0.5000  0.5000  0.0000
O  0.2253  0.9462  0.2317
O  0.2350  0.4452  0.2119
O  0.2573  0.0615  0.7565
O  0.2734  0.5716  0.8184
O  0.7266  0.4284  0.1816
O  0.7427  0.9385  0.2435
O  0.7650  0.5548  0.7881
O  0.7747  0.0538  0.7683

Calculated values
Corrected total energy (MP2020 scheme) (eV per formula unit): -119.7

---

## MgCr2O4 (GGA+U)

Data for an optimized crystal structure of MgCr2O4.

Cell: 7.4131 7.4131 9.4009 Å, 128.94 128.94 23.13°
Element x y z (fractional)
Mg  0.1779  0.1779  0.1929
Mg  0.8221  0.8221  0.8071
Cr  0.1343  0.1343  0.4545
Cr  0.3557  0.3557  0.1835
Cr  0.6443  0.6443  0.8165
Cr  0.8657  0.8657  0.5455
O  0.0377  0.0377  0.7566
O  0.2821  0.2821  0.9141
O  0.3321  0.3321  0.6662
O  0.3611  0.3611  0.4046
O  0.6389  0.6389  0.5954
O  0.6679  0.6679  0.3338
O  0.7179  0.7179  0.0859
O  0.9623  0.9623  0.2434

Calculated values
Corrected total energy (MP2020 scheme) (eV per formula unit): -57.8

---

## MoO2 (GGA+U)

Data for an optimized crystal structure of MoO2.

Cell: 6.2318 6.2405 6.3907 Å, 118.27 117.96 91.42°
Element x y z (fractional)
Mo  0.0000  0.0000  0.0000
Mo  0.0000  0.0000  0.5000
Mo  0.0000  0.5000  0.0000
Mo  0.5000  0.0000  0.5000
O  0.1896  0.2301  0.9486
O  0.2215  0.7597  0.4491
O  0.2312  0.1897  0.4511
O  0.2364  0.7787  0.0478
O  0.7636  0.2213  0.9522
O  0.7688  0.8103  0.5489
O  0.7785  0.2403  0.5509
O  0.8104  0.7699  0.0514

Calculated values
Corrected total energy (MP2020 scheme) (eV per formula unit): -26.1

---

## YFeO3 (GGA+U)

Data for an optimized crystal structure of YFeO3.

Cell: 3.5584 12.3830 6.1624 Å, 75.59 90.00 81.74°
Element x y z (fractional)
O  0.2071  0.5858  0.5409
O  0.7071  0.5858  0.0409
O  0.8750  0.2500  0.8729
O  0.1250  0.7500  0.1271
O  0.3750  0.2500  0.3729
O  0.6250  0.7500  0.6271
O  0.5429  0.9142  0.8766
O  0.7929  0.4142  0.4591
O  0.4571  0.0858  0.1234
O  0.9571  0.0858  0.6234
O  0.2929  0.4142  0.9591
O  0.0429  0.9142  0.3766
Fe  0.8750  0.2500  0.5445
Fe  0.3750  0.2500  0.0445
Fe  0.1250  0.7500  0.4555
Fe  0.6250  0.7500  0.9555
Y  0.5000  0.0000  0.5000
Y  0.2500  0.5000  0.2500
Y  0.0000  0.0000  0.0000
Y  0.7500  0.5000  0.7500

Calculated values
Corrected total energy (MP2020 scheme) (eV per formula unit): -43.9

---

Ordered formation energy results: -258; -206; -217; -254; -223; -112; -163; -151; -170; -235; -173; -273; unit kJ/mol of atoms.